ZrNbB4 | meta-GGA r2SCAN | optimized geometry

Structure (CIF):
```
data_ZrNbB4
_chemical_formula_sum 'Zr1 Nb1 B4'
_cell_length_a 3.1384
_cell_length_b 3.1384
_cell_length_c 6.8857
_cell_angle_alpha 90.00
_cell_angle_beta 90.00
_cell_angle_gamma 120.00
_symmetry_space_group_name_H-M 'P 1'
_symmetry_Int_Tables_number 1
_symmetry_space_group_name_Hall 'P 1'
loop_
_atom_site_label
_atom_site_fract_x
_atom_site_fract_y
_atom_site_fract_z
B1 0.3333 0.6667 0.7574
Zr1 0.0000 0.0000 0.5000
B2 0.6667 0.3333 0.2426
B3 0.6667 0.3333 0.7574
Nb1 0.0000 0.0000 0.0000
B4 0.3333 0.6667 0.2426
```

Properties
- Size of the total moment: 0.00 μB/atom
- Calculated formation energy: -886 meV per atom



NdB6 | meta-GGA r2SCAN | optimized geometry

Structure (CIF):
```
data_NdB6
_chemical_formula_sum 'Nd1 B6'
_cell_length_a 4.1296
_cell_length_b 4.1296
_cell_length_c 4.1296
_cell_angle_alpha 90.00
_cell_angle_beta 90.00
_cell_angle_gamma 90.00
_symmetry_space_group_name_H-M 'P 1'
_symmetry_Int_Tables_number 1
_symmetry_space_group_name_Hall 'P 1'
loop_
_atom_site_label
_atom_site_fract_x
_atom_site_fract_y
_atom_site_fract_z
B1 0.5000 0.8001 0.5000
B2 0.1999 0.5000 0.5000
B3 0.8001 0.5000 0.5000
B4 0.5000 0.5000 0.1999
B5 0.5000 0.1999 0.5000
B6 0.5000 0.5000 0.8001
Nd1 0.0000 0.0000 0.0000
```

Properties
- Size of the total moment: 0.00 μB/atom
- Calculated formation energy: -542 meV per atom



Theoretical density values (in kg/m3) by entry order: 6428 4931.